1.
VASP calculation (PBE-GGA) on an optimized crystal structure of AlCuPt2.

## Properties
The space-group type is P4/mmm (123). The value obtained for the energy relative to the elements is -67 kJ per mole of atoms.

abc: 3.5286 4.0011 4.0011
angles: 90.00 90.00 90.00
Positions (direct):
Cu 0.0000 0.5000 0.5000
Al 0.0000 0.0000 0.0000
Pt 0.5000 0.0000 0.5000
Pt 0.5000 0.5000 0.0000


2.
VASP calculation (PBE-GGA) on an optimized crystal structure of KTe2F9.

## Properties
The space-group type is P-1 (2). The value obtained for the energy relative to the elements is -253 kJ per mole of atoms.

abc: 4.9455 9.5076 9.5806
angles: 109.67 96.07 95.74
Positions (direct):
F 0.8635 0.3991 0.6414
F 0.6549 0.4589 0.3505
F 0.7870 0.5486 0.9158
F 0.2573 0.2630 0.7492
F 0.0167 0.2982 0.2363
F 0.3806 0.9065 0.3146
F 0.1485 0.9409 0.6405
F 0.9833 0.7018 0.7637
F 0.8515 0.0591 0.3595
F 0.6194 0.0935 0.6854
F 0.2130 0.4514 0.0842
F 0.5656 0.9309 0.8446
F 0.3451 0.5411 0.6495
F 0.1365 0.6009 0.3586
F 0.4344 0.0691 0.1554
F 0.6911 0.2425 0.9676
F 0.7427 0.7370 0.2508
F 0.3089 0.7575 0.0324
Te 0.1140 0.5375 0.8084
Te 0.3656 0.0950 0.8229
Te 0.6344 0.9050 0.1771
Te 0.8860 0.4625 0.1916
K 0.3794 0.2423 0.4565
K 0.6206 0.7577 0.5435


3.
VASP calculation (PBE-GGA) on an optimized crystal structure of Er4Ni13C4.

## Properties
The space-group type is Cmmm (65). The value obtained for the energy relative to the elements is -34 kJ per mole of atoms.

abc: 8.3557 8.3557 3.8382
angles: 90.00 90.00 91.26
Positions (direct):
Ni 0.1234 0.1234 0.5000
Ni 0.2156 0.5698 0.0000
Ni 0.5698 0.2156 0.0000
Ni 0.8766 0.8766 0.5000
Ni 0.9256 0.7091 0.0000
Ni 0.0744 0.2909 0.0000
Ni 0.7844 0.4302 0.0000
Ni 0.0000 0.0000 0.0000
Ni 0.5000 0.0000 0.5000
Ni 0.7091 0.9256 0.0000
Ni 0.0000 0.5000 0.5000
Ni 0.4302 0.7844 0.0000
Ni 0.2909 0.0744 0.0000
C 0.5000 0.0000 0.0000
C 0.5570 0.4430 0.0000
C 0.4430 0.5570 0.0000
C 0.0000 0.5000 0.0000
Er 0.1872 0.8128 0.5000
Er 0.6516 0.6516 0.5000
Er 0.3484 0.3484 0.5000
Er 0.8128 0.1872 0.5000


4.
VASP calculation (PBE-GGA) on an optimized crystal structure of Mn3Fe9C4.

## Properties
The space-group type is P1 (1). The size of the total moment comes out at 18.14 μB/cell. The value obtained for the energy relative to the elements is 5 kJ per mole of atoms.

abc: 4.4572 5.0168 6.7436
angles: 90.01 89.00 90.05
Positions (direct):
Fe 0.6643 0.0390 0.2501
Fe 0.1727 0.1760 0.0714
Fe 0.8314 0.8244 0.9279
Fe 0.6756 0.3194 0.9344
Fe 0.8361 0.5369 0.2520
Fe 0.3387 0.9638 0.7489
Fe 0.8306 0.8209 0.5623
Fe 0.3299 0.6781 0.4318
Fe 0.1654 0.4596 0.7515
Mn 0.3301 0.6779 0.0650
Mn 0.6628 0.3218 0.5693
Mn 0.1634 0.1817 0.4370
C 0.0663 0.8793 0.2506
C 0.4320 0.3810 0.2495
C 0.9350 0.1209 0.7431
C 0.5657 0.6193 0.7551


5.
VASP calculation (PBE-GGA) on an optimized crystal structure of Na2PtC4O16.

## Properties
The space-group type is Cmce (64). The size of the total moment comes out at 4.00 μB/cell. The value obtained for the energy relative to the elements is -57 kJ per mole of atoms.

abc: 8.2755 8.2755 13.2419
angles: 90.00 90.00 128.89
Positions (direct):
C 0.2834 0.3870 0.8144
C 0.7166 0.6130 0.1856
C 0.1130 0.2166 0.3144
C 0.6130 0.7166 0.1856
C 0.8870 0.7834 0.6856
C 0.2166 0.1130 0.3144
C 0.3870 0.2834 0.8144
C 0.7834 0.8870 0.6856
O 0.3631 0.1695 0.7456
O 0.6706 0.4921 0.1083
O 0.7521 0.1839 0.0816
O 0.1695 0.3631 0.7456
O 0.7553 0.7553 0.4537
O 0.9921 0.1706 0.3917
O 0.6839 0.2521 0.4184
O 0.2553 0.2553 0.0463
O 0.6695 0.8631 0.7544
O 0.8631 0.6695 0.7544
O 0.8305 0.6369 0.2544
O 0.1839 0.7521 0.0816
O 0.0079 0.8294 0.6083
O 0.3308 0.6692 0.5000
O 0.1706 0.9921 0.3917
O 0.3161 0.7479 0.5816
O 0.2479 0.8161 0.9184
O 0.6692 0.3308 0.5000
O 0.7447 0.7447 0.9537
O 0.2447 0.2447 0.5463
O 0.3305 0.1369 0.2456
O 0.8294 0.0079 0.6083
O 0.2521 0.6839 0.4184
O 0.1369 0.3305 0.2456
O 0.5079 0.3294 0.8917
O 0.3294 0.5079 0.8917
O 0.8161 0.2479 0.9184
O 0.1692 0.8308 0.0000
O 0.6369 0.8305 0.2544
O 0.8308 0.1692 0.0000
O 0.4921 0.6706 0.1083
O 0.7479 0.3161 0.5816
Na 0.0680 0.5680 0.7500
Na 0.9320 0.4320 0.2500
Na 0.5680 0.0680 0.7500
Na 0.4320 0.9320 0.2500
Pt 0.5000 0.5000 0.0000
Pt 0.0000 0.0000 0.5000


6.
VASP calculation (PBE-GGA) on an optimized crystal structure of Dy2S3O12.

## Properties
The space-group type is Pbcn (60). The value obtained for the energy relative to the elements is -257 kJ per mole of atoms.

abc: 9.2632 9.4843 12.9240
angles: 90.00 90.00 90.00
Positions (direct):
O 0.4377 0.3222 0.0775
O 0.1366 0.2683 0.1683
O 0.1366 0.2317 0.8317
O 0.1675 0.4198 0.9574
O 0.0623 0.6778 0.5775
O 0.6675 0.4198 0.5426
O 0.3776 0.8536 0.9462
O 0.3634 0.7317 0.6683
O 0.3325 0.5802 0.4574
O 0.9470 0.4023 0.8577
O 0.3325 0.9198 0.5426
O 0.8634 0.7317 0.8317
O 0.6366 0.2683 0.3317
O 0.3776 0.6464 0.0538
O 0.6675 0.0802 0.4574
O 0.6366 0.2317 0.6683
O 0.8325 0.9198 0.9574
O 0.9470 0.0977 0.1423
O 0.0530 0.5977 0.1423
O 0.6701 0.4730 0.7251
O 0.8325 0.5802 0.0426
O 0.6701 0.0270 0.2749
O 0.4470 0.4023 0.6423
O 0.8776 0.6464 0.4462
O 0.9377 0.3222 0.4225
O 0.0623 0.8222 0.4225
O 0.1675 0.0802 0.0426
O 0.5530 0.9023 0.6423
O 0.5530 0.5977 0.3577
O 0.3634 0.7683 0.3317
O 0.4377 0.1778 0.9225
O 0.5623 0.6778 0.9225
O 0.9377 0.1778 0.5775
O 0.8634 0.7683 0.1683
O 0.8776 0.8536 0.5538
O 0.8299 0.5270 0.2251
O 0.6224 0.1464 0.0538
O 0.5623 0.8222 0.0775
O 0.3299 0.5270 0.2749
O 0.1224 0.1464 0.4462
O 0.1701 0.0270 0.2251
O 0.1224 0.3536 0.5538
O 0.1701 0.4730 0.7749
O 0.4470 0.0977 0.3577
O 0.6224 0.3536 0.9462
O 0.3299 0.9730 0.7251
O 0.8299 0.9730 0.7749
O 0.0530 0.9023 0.8577
Dy 0.7480 0.5343 0.8827
Dy 0.7520 0.4657 0.3827
Dy 0.2480 0.5343 0.6173
Dy 0.7480 0.9657 0.1173
Dy 0.2520 0.4657 0.1173
Dy 0.2520 0.0343 0.8827
Dy 0.2480 0.9657 0.3827
Dy 0.7520 0.0343 0.6173
S 0.1055 0.1183 0.1441
S 0.6055 0.3817 0.6441
S 0.8945 0.8817 0.8559
S 0.3945 0.8817 0.6441
S 0.5296 0.2500 0.0000
S 0.4704 0.7500 0.0000
S 0.1055 0.3817 0.8559
S 0.8945 0.6183 0.1441
S 0.0296 0.2500 0.5000
S 0.3945 0.6183 0.3559
S 0.6055 0.1183 0.3559
S 0.9704 0.7500 0.5000


7.
VASP calculation (PBE-GGA) on an optimized crystal structure of SnF2.

## Properties
As for the piezoelectric modulus e_max: 0.0 C/m². The space-group type is P2_12_12_1 (19). The value obtained for the energy relative to the elements is -248 kJ per mole of atoms.

abc: 5.1474 5.3018 8.4893
angles: 90.00 90.00 90.00
Positions (direct):
F 0.0229 0.3668 0.0436
F 0.5229 0.1332 0.9564
F 0.9771 0.8668 0.4564
F 0.5996 0.7428 0.2008
F 0.9004 0.2572 0.7008
F 0.0996 0.7572 0.7992
F 0.4771 0.6332 0.5436
F 0.4004 0.2428 0.2992
Sn 0.7461 0.5031 0.8774
Sn 0.2539 0.0031 0.6226
Sn 0.2461 0.9969 0.1226
Sn 0.7539 0.4969 0.3774


8.
VASP calculation (PBE-GGA) on an optimized crystal structure of NdTm3S6.

## Properties
The space-group type is P2_1/m (11). The value obtained for the energy relative to the elements is -230 kJ per mole of atoms.

abc: 3.9522 10.9927 11.2733
angles: 71.07 90.00 90.00
Positions (direct):
S 0.7500 0.1193 0.5364
S 0.2500 0.1974 0.7512
S 0.2500 0.6069 0.0566
S 0.2500 0.8807 0.4636
S 0.2500 0.0822 0.0932
S 0.7500 0.8026 0.2488
S 0.7500 0.9178 0.9068
S 0.7500 0.4790 0.3879
S 0.7500 0.7324 0.7294
S 0.7500 0.3931 0.9434
S 0.2500 0.2676 0.2706
S 0.2500 0.5210 0.6121
Tm 0.2500 0.5562 0.8336
Tm 0.7500 0.4438 0.1664
Tm 0.7500 0.6799 0.4988
Tm 0.2500 0.8393 0.0870
Tm 0.7500 0.1607 0.9130
Tm 0.2500 0.3201 0.5012
Nd 0.7500 0.0505 0.3039
Nd 0.2500 0.9495 0.6961